A plane-wave DFT calculation with GGA-PBE was carried out for a relaxed BaNaIn2P3O12 crystal.

For the total magnetic moment, the calculation gives 0.00 μB per formula unit. The final energy is -6.688 eV per atom. Its space group is P2_13. Its formation energy is -2682 meV/atom.

Cell and atoms, written as POSCAR:
```
BaNaIn2P3O12
1.0
-5.668 -8.401 -1.817
8.589 -5.617 -0.821
-0.321 -1.968 10.101
Ba Na In P O
4 4 8 12 48
direct
0.194 0.306 0.694
0.306 0.694 0.194
0.694 0.194 0.306
0.806 0.806 0.806
0.074 0.074 0.074
0.426 0.926 0.574
0.574 0.426 0.926
0.926 0.574 0.426
0.090 0.910 0.410
0.169 0.669 0.831
0.331 0.331 0.331
0.410 0.090 0.910
0.590 0.590 0.590
0.669 0.831 0.169
0.831 0.169 0.669
0.910 0.410 0.090
0.014 0.224 0.373
0.127 0.986 0.724
0.224 0.373 0.014
0.276 0.627 0.514
0.373 0.014 0.224
0.486 0.776 0.873
0.514 0.276 0.627
0.627 0.514 0.276
0.724 0.127 0.986
0.776 0.873 0.486
0.873 0.486 0.776
0.986 0.724 0.127
0.026 0.086 0.311
0.015 0.085 0.720
0.047 0.818 0.226
0.077 0.852 0.771
0.086 0.311 0.026
0.085 0.720 0.015
0.148 0.271 0.423
0.182 0.726 0.453
0.220 0.485 0.915
0.189 0.974 0.586
0.226 0.047 0.818
0.229 0.577 0.648
0.271 0.423 0.148
0.274 0.953 0.318
0.311 0.026 0.086
0.280 0.515 0.415
0.318 0.274 0.953
0.352 0.729 0.923
0.415 0.280 0.515
0.414 0.689 0.526
0.423 0.148 0.271
0.453 0.182 0.726
0.485 0.915 0.220
0.474 0.914 0.811
0.526 0.414 0.689
0.515 0.415 0.280
0.547 0.682 0.774
0.577 0.648 0.229
0.586 0.189 0.974
0.585 0.780 0.985
0.648 0.229 0.577
0.682 0.774 0.547
0.720 0.015 0.085
0.689 0.526 0.414
0.726 0.453 0.182
0.729 0.923 0.352
0.771 0.077 0.852
0.774 0.547 0.682
0.811 0.474 0.914
0.780 0.985 0.585
0.818 0.226 0.047
0.852 0.771 0.077
0.915 0.220 0.485
0.914 0.811 0.474
0.923 0.352 0.729
0.953 0.318 0.274
0.985 0.585 0.780
0.974 0.586 0.189
```